KMg6Nb: optimized geometry, PBE.

Results
E, eV per atom: -2.310
Polymorph energy (0 for the lowest one), eV per formula unit: 0.00

a = 4.581 Å, b = 9.236 Å, c = 9.310 Å
α = 90.00°, β = 90.00°, γ = 90.00°
Space group Amm2 (No. 38)
Asymmetric unit:
K1 0.000 0.000 0.000
Mg1 0.000 0.245 0.256
Mg2 0.500 0.000 0.284
Mg3 0.500 0.000 0.725
Mg4 0.500 0.219 0.507
Nb1 0.000 0.000 0.506